Below is YCdB after structural relaxation, with properties calculated at the PBE-GGA level.

Calculated values
Energy relative to the elements in eV/atom: -0.06
Size of the total moment in Bohr magnetons per cell: 0.0

abc: 4.3380 4.3380 4.3380
angles: 60.00 60.00 60.00
Positions (direct):
Y 0.5000 0.5000 0.5000
Cd 0.0000 0.0000 0.0000
B 0.2500 0.2500 0.2500